Density functional theory data (PBE-GGA) for an optimized crystal structure of BaCaLaSbO6.

POSCAR file:
```
BaCaLaSbO6
1.0
8.539 0.000 0.000
0.000 8.580 0.000
0.000 0.000 8.583
Ba Ca La Sb O
4 4 4 4 24
Cartesian
2.135 2.145 2.146
2.135 2.145 6.437
6.404 6.435 2.146
6.404 6.435 6.437
2.135 6.435 2.146
2.135 6.435 6.437
6.404 2.145 2.146
6.404 2.145 6.437
0.000 0.000 0.000
0.000 4.290 4.292
4.269 0.000 4.292
4.269 4.290 0.000
0.000 0.000 4.292
0.000 4.290 0.000
4.269 0.000 0.000
4.269 4.290 4.292
0.329 6.245 0.496
0.329 6.624 3.796
0.378 4.740 6.626
0.378 8.130 6.249
1.968 0.316 4.048
1.968 3.974 0.244
2.301 0.316 0.244
2.301 3.974 4.048
3.891 4.740 6.249
3.891 8.130 6.626
3.940 6.245 3.796
3.940 6.624 0.496
4.599 1.956 8.087
4.599 2.334 4.788
4.648 0.450 1.958
4.648 3.840 2.334
6.238 4.606 4.536
6.238 8.264 8.339
6.570 4.606 8.339
6.570 8.264 4.536
8.160 0.450 2.334
8.160 3.840 1.958
8.209 1.956 4.788
8.209 2.334 8.087
```

Results
ΔH_f (0 K) in eV per atom: -2.995
Magnetic moment in μB per formula unit: 0.000
V in Å³ per atom: 15.7

Density functional theory data (PBE-GGA) for an optimized crystal structure of BaCaMg6.

POSCAR file:
```
BaCaMg6
1.0
-4.280 3.062 1.484
-2.116 -5.091 4.399
6.666 4.975 8.962
Mg Ba Ca
12 2 2
Cartesian
-0.940 -0.202 7.777
2.225 1.660 2.991
2.386 2.269 12.272
2.322 -0.848 8.445
-1.075 -3.489 4.097
0.111 2.327 5.591
0.047 -0.790 1.765
1.221 2.283 8.883
3.316 1.544 6.378
3.450 4.831 10.058
4.500 1.602 9.672
-1.054 2.341 2.202
2.256 4.811 6.652
-2.135 -0.221 4.371
1.245 -0.827 5.296
5.636 4.206 7.577
```

Results
ΔH_f (0 K) in eV per atom: 0.083
Magnetic moment in μB per formula unit: 0.009
V in Å³ per atom: 29.5

Density functional theory data (PBE-GGA) for an optimized crystal structure of BaCaMg6.

POSCAR file:
```
BaCaMg6
1.0
5.441 0.000 0.000
0.000 7.233 0.000
0.000 0.000 12.201
Mg Ba Ca
12 2 2
Cartesian
0.000 3.617 7.932
0.000 3.617 1.921
0.000 0.000 1.832
2.720 1.832 7.090
2.720 5.401 7.090
0.000 5.520 11.344
0.000 0.000 8.021
0.000 5.331 5.244
2.720 1.785 0.989
2.720 5.449 0.989
0.000 1.714 11.344
0.000 1.903 5.244
2.720 3.617 10.187
2.720 0.000 4.087
2.720 3.617 4.096
2.720 0.000 10.196
```

Results
ΔH_f (0 K) in eV per atom: 0.085
Magnetic moment in μB per formula unit: 0.003
V in Å³ per atom: 30.0

Computed values of energy relative to the lowest polymorph listed for this composition (unit: eV/atom) for the preceding records, in sequence: 0.0066, 0.0000, 0.0021.